# 1
VASP calculation (PBE) on a relaxed KCuS crystal.

Output
Space group ... Pnma (62)
Energy with MP2020 corrections ... -48.54 eV for the cell shown
Energy of formation ... -0.93 eV per atom
Energy ... -11.63 eV/f.u.

Lattice parameters (Å, degrees): 5.315 6.299 10.716 90.00 90.00 90.00
Sites, in units of the cell vectors:
K 0.750 0.523 0.846
K 0.250 0.023 0.654
K 0.750 0.977 0.346
K 0.250 0.477 0.154
Cu 0.500 0.000 0.000
Cu 0.500 0.500 0.500
Cu 0.000 0.500 0.500
Cu 0.000 0.000 0.000
S 0.750 0.224 0.089
S 0.750 0.276 0.589
S 0.250 0.776 0.911
S 0.250 0.724 0.411

# 2
VASP calculation (PBE) on a relaxed LiEu4B3N6 crystal.

Output
Space group ... Im-3m (229)
Energy with MP2020 corrections ... -130.62 eV for the cell shown
Energy of formation ... -1.26 eV per atom
Energy ... -128.46 eV/f.u.

Lattice parameters (Å, degrees): 6.375 6.375 6.375 109.47 109.47 109.47
Sites, in units of the cell vectors:
Li 0.000 0.000 0.000
Eu 0.000 0.000 0.500
Eu 0.000 0.500 0.000
Eu 0.500 0.000 0.000
Eu 0.500 0.500 0.500
B 0.500 0.500 0.000
B 0.500 0.000 0.500
B 0.000 0.500 0.500
N 0.683 0.683 0.000
N 0.317 0.000 0.317
N 0.000 0.317 0.317
N 0.317 0.317 0.000
N 0.683 0.000 0.683
N 0.000 0.683 0.683

# 3
VASP calculation (PBE) on a relaxed YMg3 crystal.

Output
Space group ... P-6m2 (187)
Energy of formation ... 0.04 eV per atom
Energy ... -11.11 eV/f.u.

Lattice parameters (Å, degrees): 3.308 3.308 10.932 90.00 90.00 120.00
Sites, in units of the cell vectors:
Y 0.667 0.333 0.500
Mg 0.667 0.333 0.000
Mg 0.333 0.667 0.242
Mg 0.333 0.667 0.758

# 4
VASP calculation (PBE) on a relaxed Sb9S4F39 crystal.

Output
Space group ... P2_1/c (14)
Energy with MP2020 corrections ... -1032.47 eV for the cell shown
Energy of formation ... -2.50 eV per atom
Energy ... -238.09 eV/f.u.

Lattice parameters (Å, degrees): 13.496 15.899 17.323 91.31 90.00 90.00
Sites, in units of the cell vectors:
F 0.479 0.933 0.969
F 0.979 0.067 0.531
F 0.521 0.067 0.031
F 0.021 0.933 0.469
F 0.677 0.992 0.953
F 0.177 0.008 0.547
F 0.323 0.008 0.047
F 0.823 0.992 0.453
F 0.519 0.566 0.968
F 0.019 0.434 0.532
F 0.481 0.434 0.032
F 0.981 0.566 0.468
F 0.317 0.506 0.966
F 0.817 0.494 0.534
F 0.683 0.494 0.034
F 0.183 0.506 0.466
F 0.568 0.912 0.835
F 0.068 0.088 0.665
F 0.432 0.088 0.165
F 0.932 0.912 0.335
F 0.553 0.831 0.694
F 0.053 0.169 0.806
F 0.447 0.169 0.306
F 0.947 0.831 0.194
F 0.491 0.749 0.824
F 0.991 0.251 0.676
F 0.509 0.251 0.176
F 0.009 0.749 0.324
F 0.407 0.588 0.846
F 0.907 0.412 0.654
F 0.593 0.412 0.154
F 0.093 0.588 0.346
F 0.421 0.651 0.700
F 0.921 0.349 0.800
F 0.579 0.349 0.300
F 0.079 0.651 0.200
F 0.237 0.582 0.758
F 0.737 0.418 0.742
F 0.763 0.418 0.242
F 0.263 0.582 0.258
F 0.135 0.353 0.750
F 0.635 0.647 0.750
F 0.865 0.647 0.250
F 0.365 0.353 0.250
F 0.303 0.431 0.808
F 0.803 0.569 0.692
F 0.697 0.569 0.192
F 0.197 0.431 0.308
F 0.072 0.508 0.702
F 0.572 0.492 0.798
F 0.928 0.492 0.298
F 0.428 0.508 0.202
F 0.252 0.449 0.658
F 0.752 0.551 0.842
F 0.748 0.551 0.342
F 0.248 0.449 0.158
F 0.123 0.487 0.851
F 0.623 0.513 0.649
F 0.877 0.513 0.149
F 0.377 0.487 0.351
F 0.739 0.916 0.750
F 0.239 0.084 0.750
F 0.261 0.084 0.250
F 0.761 0.916 0.250
F 0.824 0.145 0.717
F 0.324 0.855 0.783
F 0.176 0.855 0.283
F 0.676 0.145 0.217
F 0.866 0.025 0.822
F 0.366 0.975 0.678
F 0.134 0.975 0.178
F 0.634 0.025 0.322
F 0.692 0.036 0.647
F 0.192 0.964 0.853
F 0.308 0.964 0.353
F 0.808 0.036 0.147
F 0.676 0.069 0.802
F 0.176 0.931 0.698
F 0.324 0.931 0.198
F 0.824 0.069 0.302
F 0.885 0.990 0.669
F 0.385 0.010 0.831
F 0.115 0.010 0.331
F 0.615 0.990 0.169
F 0.692 0.278 0.051
F 0.192 0.722 0.449
F 0.308 0.722 0.949
F 0.808 0.278 0.551
F 0.741 0.260 0.833
F 0.241 0.740 0.667
F 0.259 0.740 0.167
F 0.759 0.260 0.333
F 0.808 0.363 0.950
F 0.308 0.637 0.550
F 0.192 0.637 0.050
F 0.692 0.363 0.450
F 0.626 0.175 0.935
F 0.126 0.825 0.565
F 0.374 0.825 0.065
F 0.874 0.175 0.435
F 0.824 0.193 0.960
F 0.324 0.807 0.540
F 0.176 0.807 0.040
F 0.676 0.193 0.460
F 0.611 0.344 0.923
F 0.111 0.656 0.577
F 0.389 0.656 0.077
F 0.889 0.344 0.423
F 0.174 0.308 0.980
F 0.674 0.692 0.520
F 0.826 0.692 0.020
F 0.326 0.308 0.480
F 0.386 0.160 0.926
F 0.886 0.840 0.574
F 0.614 0.840 0.074
F 0.114 0.160 0.426
F 0.367 0.329 0.943
F 0.867 0.671 0.557
F 0.633 0.671 0.057
F 0.133 0.329 0.443
F 0.190 0.137 0.962
F 0.690 0.863 0.538
F 0.810 0.863 0.038
F 0.310 0.137 0.462
F 0.244 0.240 0.846
F 0.744 0.760 0.654
F 0.756 0.760 0.154
F 0.256 0.240 0.346
F 0.317 0.225 0.060
F 0.817 0.775 0.440
F 0.683 0.775 0.940
F 0.183 0.225 0.560
F 0.986 0.818 0.910
F 0.486 0.182 0.590
F 0.014 0.182 0.090
F 0.514 0.818 0.410
F 0.975 0.688 0.722
F 0.475 0.312 0.778
F 0.025 0.312 0.278
F 0.525 0.688 0.222
F 0.120 0.733 0.824
F 0.620 0.267 0.676
F 0.880 0.267 0.176
F 0.380 0.733 0.324
F 0.840 0.771 0.813
F 0.340 0.229 0.687
F 0.160 0.229 0.187
F 0.660 0.771 0.313
F 0.957 0.653 0.874
F 0.457 0.347 0.626
F 0.043 0.347 0.126
F 0.543 0.653 0.374
F 0.002 0.855 0.758
F 0.502 0.145 0.742
F 0.998 0.145 0.242
F 0.498 0.855 0.258
S 0.597 0.981 0.471
S 0.097 0.019 0.029
S 0.403 0.019 0.529
S 0.903 0.981 0.971
S 0.514 0.940 0.560
S 0.014 0.060 0.940
S 0.486 0.060 0.440
S 0.986 0.940 0.060
S 0.581 0.510 0.447
S 0.081 0.490 0.053
S 0.419 0.490 0.553
S 0.919 0.510 0.947
S 0.468 0.584 0.485
S 0.968 0.416 0.015
S 0.532 0.416 0.515
S 0.032 0.584 0.985
Sb 0.553 0.031 0.912
Sb 0.053 0.969 0.588
Sb 0.447 0.969 0.088
Sb 0.947 0.031 0.412
Sb 0.436 0.466 0.916
Sb 0.936 0.534 0.584
Sb 0.564 0.534 0.084
Sb 0.064 0.466 0.416
Sb 0.625 0.804 0.786
Sb 0.125 0.196 0.714
Sb 0.375 0.196 0.214
Sb 0.875 0.804 0.286
Sb 0.351 0.689 0.792
Sb 0.851 0.311 0.708
Sb 0.649 0.311 0.208
Sb 0.149 0.689 0.292
Sb 0.186 0.467 0.754
Sb 0.686 0.533 0.746
Sb 0.814 0.533 0.246
Sb 0.314 0.467 0.254
Sb 0.780 0.032 0.733
Sb 0.280 0.968 0.767
Sb 0.220 0.968 0.267
Sb 0.720 0.032 0.233
Sb 0.717 0.269 0.942
Sb 0.217 0.731 0.558
Sb 0.283 0.731 0.058
Sb 0.783 0.269 0.442
Sb 0.279 0.233 0.953
Sb 0.779 0.767 0.547
Sb 0.721 0.767 0.047
Sb 0.221 0.233 0.453
Sb 0.981 0.755 0.814
Sb 0.481 0.245 0.686
Sb 0.019 0.245 0.186
Sb 0.519 0.755 0.314